[1]
This record from the Materials Project describes V2CdO6 after structural relaxation. The functional is PBE with a Hubbard U.

```
36
Lattice="4.9697 0.0000 0.0000 0.0000 5.8552 0.0000 0.0000 0.0000 14.3822" Properties=species:S:1:pos:R:3 pbc="T T T"
V 1.0994 1.0698 4.7822
V 1.0994 3.9974 2.4089
V 3.5842 1.8578 2.4089
V 1.3855 1.0698 9.6000
V 1.3855 3.9974 11.9733
V 3.8703 1.8578 11.9733
V 3.5842 4.7854 4.7822
V 3.8703 4.7854 9.6000
Cd 1.2424 1.2766 0.0000
Cd 3.7273 1.6510 7.1911
Cd 3.7273 4.5786 0.0000
Cd 1.2424 4.2041 7.1911
O 4.4431 3.8111 3.5403
O 1.9221 5.1544 13.0857
O 1.9221 2.2268 8.4875
O 2.3933 2.4708 12.8535
O 0.0916 5.3984 5.6624
O 2.5764 0.4568 5.6624
O 0.5627 5.1544 1.2964
O 4.8781 0.4568 8.7197
O 0.5266 2.0441 10.8419
O 0.5627 2.2268 5.8946
O 4.4070 3.6283 8.4875
O 2.3933 5.3984 8.7197
O 4.4431 0.8835 3.6508
O 0.0916 2.4708 1.5287
O 2.5764 3.3844 1.5287
O 4.8781 3.3844 12.8535
O 3.0476 0.7008 1.2964
O 1.9583 4.9716 3.6508
O 0.5266 4.9716 10.7313
O 4.4070 0.7008 13.0857
O 3.0476 3.6283 5.8946
O 1.9583 2.0441 3.5403
O 3.0114 3.8111 10.8419
O 3.0114 0.8835 10.7313
```

Computed properties:
The space-group type is Pbcn (60). The magnetic moment comes out at 0.00 μB/f.u.

***

[2]
This record from the Materials Project describes V3CdO7 after structural relaxation. The functional is PBE with a Hubbard U.

```
44
Lattice="-4.5189 2.6876 1.1651 -1.4747 -6.4770 9.2207 5.5618 6.8730 5.7174" Properties=species:S:1:pos:R:3 pbc="T T T"
V 2.4784 3.7934 7.5713
V -2.3495 2.6336 3.9671
V 1.9177 0.4498 12.1361
V -2.9102 -0.7099 8.5319
V 0.4029 -1.3916 10.3801
V -1.3488 1.1037 10.2759
V -1.5222 -1.0344 3.3199
V 1.6044 7.4892 8.2305
V -0.8347 4.4750 5.7231
V 0.9170 1.9797 5.8273
V 1.0903 4.1179 12.7833
V -2.0363 -4.4057 7.8727
Cd 0.0371 4.4004 9.2165
Cd 0.0669 2.0414 2.3283
Cd -0.4988 1.0420 13.7749
Cd -0.4689 -1.3169 6.8867
O 1.5198 -0.3843 13.5259
O -2.8787 0.3421 7.2366
O 2.4469 2.7414 8.8666
O -1.9516 3.4677 2.5773
O -0.2250 -2.5974 11.3568
O -0.9498 2.4457 9.3582
O -1.2995 -1.6082 4.8766
O 1.6107 7.9269 6.6148
O -0.2069 5.6809 4.7464
O 0.5180 0.6378 6.7451
O 0.8677 4.6917 11.2266
O -2.0425 -4.8434 9.4884
O -3.2226 0.5666 9.9900
O 0.1915 0.3857 11.2036
O -2.1659 0.7916 3.3140
O 4.3333 4.4231 7.6989
O -2.5647 -2.4884 7.7011
O -0.6690 3.5611 13.5448
O 1.7474 1.3886 4.1109
O 0.6226 3.7055 6.8497
O 2.1329 5.5718 8.4022
O 0.2371 -0.4777 2.5584
O -2.1792 1.6948 11.9923
O -1.0545 -0.6221 9.2536
O -4.7651 -1.3396 8.4043
O 1.7341 2.2919 12.7893
O -0.6234 2.6978 4.8996
O 2.7908 2.5169 6.1132
```

Computed properties:
The space-group type is Pnma (62). The calculation puts the energy above the most stable polymorph in this dataset at 55 meV per atom. The magnetic moment comes out at 3.00 μB/f.u.

***

[3]
This record from the Materials Project describes CeMoClO4 after structural relaxation. The functional is PBE with a Hubbard U.

```
56
Lattice="-5.0609 2.3369 2.0386 -3.2342 -1.1360 -6.7271 -5.9139 -17.8419 5.7713" Properties=species:S:1:pos:R:3 pbc="T T T"
Ce -5.3535 -0.7248 -0.4555
Ce -6.6778 -15.6070 4.6760
Ce -8.8556 -15.9161 1.5383
Ce -7.5312 -1.0339 -3.5932
Ce -8.3501 -9.6575 2.3633
Ce -3.6919 -6.6694 1.8615
Ce -5.8589 -6.9835 -1.2805
Ce -10.5172 -9.9715 -0.7788
Mo -9.9059 -13.3528 3.7145
Mo -2.7086 -2.7098 0.7408
Mo -4.3032 -3.2881 -2.6318
Mo -11.5005 -13.9312 0.3419
Mo -6.9094 -4.4181 0.9044
Mo -5.7011 -11.6463 3.5494
Mo -7.2996 -12.2229 0.1784
Mo -8.5080 -4.9946 -2.4666
Cl -10.1762 -16.0763 6.4480
Cl -2.6038 0.0902 -1.9260
Cl -4.0328 -0.5646 -5.3653
Cl -11.6053 -16.7311 3.0087
Cl -7.2192 -7.1568 3.5639
Cl -5.5606 -8.8295 0.9581
Cl -6.9899 -9.4842 -2.4811
Cl -8.6485 -7.8115 0.1247
O -9.4371 -11.7352 3.2011
O -3.2812 -4.2794 1.2961
O -4.7720 -4.9057 -2.1184
O -10.9279 -12.3615 -0.2133
O -9.6472 -13.1169 5.6759
O -3.8983 -2.5157 -0.8455
O -4.5619 -3.5240 -4.5932
O -10.3107 -14.1252 1.9283
O -6.2080 -0.2797 1.6633
O -8.6057 -14.7674 3.6780
O -8.0011 -16.3613 -0.5805
O -5.6034 -1.8736 -2.5952
O -3.7156 -1.1526 1.2851
O -6.6664 -15.9408 2.2710
O -10.4935 -15.4883 -0.2024
O -7.5427 -0.7001 -1.1882
O -6.4314 -2.8061 0.3962
O -6.2687 -13.2169 4.0937
O -7.7777 -13.8348 0.6866
O -7.9404 -3.4240 -3.0109
O -6.6631 -4.1790 2.8663
O -6.8988 -11.4460 1.9707
O -7.5460 -12.4619 -1.7835
O -7.3102 -5.1949 -0.8879
O -9.2007 -9.2141 4.4697
O -5.6095 -5.8346 0.8702
O -5.0084 -7.4269 -3.3869
O -8.5996 -10.8064 0.2126
O -6.7028 -10.0874 4.1027
O -3.6741 -7.0084 -0.5486
O -7.5063 -6.5536 -3.0199
O -10.5350 -9.6325 1.6314
```

Computed properties:
The space-group type is P2_1/c (14). The magnetic moment comes out at 1.00 μB/f.u.

***

[4]
This record from the Materials Project describes Ce3WCl3O6 after structural relaxation. The functional is PBE with a Hubbard U.

```
26
Lattice="-5.3311 -2.1086 -7.3626 -2.7670 -2.3616 8.5932 -2.5526 4.7579 0.4856" Properties=species:S:1:pos:R:3 pbc="T T T"
Ce -8.3904 0.2595 -1.2565
Ce -2.2602 0.0282 2.9727
Ce -5.7994 1.9160 -3.8663
Ce -4.8513 -1.6283 5.5825
Ce -4.9827 1.9509 0.0834
Ce -5.6679 -1.6632 1.6328
W -5.5361 1.2912 3.6388
W -5.1145 -1.0035 -1.9226
Cl -8.2135 0.0493 1.7328
Cl -2.4372 0.2384 -0.0166
Cl -2.8451 2.8970 2.0504
Cl -7.8056 -2.6093 -0.3343
Cl -5.5498 0.9272 7.1332
Cl -5.1009 -0.6395 -5.4170
O -7.4269 1.6940 4.2042
O -3.2237 -1.4063 -2.4880
O -5.9034 2.7101 2.2572
O -4.4428 0.8659 -2.2561
O -4.7472 -2.4224 -0.5410
O -6.2079 -0.5782 3.9722
O -5.1065 2.8778 4.8030
O -5.9663 -0.1501 -0.3091
O -5.5441 -2.5901 -3.0868
O -4.6844 0.4378 2.0252
O -6.7632 -0.3178 -2.8549
O -3.8875 0.6055 4.5710
```

Computed properties:
The space-group type is P6_3/m (176).

***

[5]
This record from the Materials Project describes Sr2Ce2YCoCu2O11 after structural relaxation. The functional is PBE with a Hubbard U.

```
38
Lattice="4.3965 16.5416 3.2166 -3.0918 16.3376 5.1792 0.3505 -17.4022 -0.5841" Properties=species:S:1:pos:R:3 pbc="T T T"
Sr 0.2913 6.0165 1.5758
Sr 1.3570 9.4578 6.2474
Sr 1.1830 5.0741 5.1280
Sr 0.4652 10.4003 2.6952
Ce 0.1016 2.4867 0.6389
Ce 1.5517 12.9896 7.1759
Ce 1.0968 1.5255 4.2485
Ce 0.5565 13.9508 3.5663
Y 2.3735 -0.4303 1.3163
Y -1.3707 -0.5323 2.2976
Co -1.2525 7.7808 4.0636
Co 3.1027 7.7720 3.4212
Cu -1.2063 3.7474 3.3944
Cu 2.8553 11.7272 4.4276
Cu 2.5427 3.8486 2.4158
Cu -0.8937 11.6261 5.4062
O 2.4198 6.1308 2.9907
O -0.8720 9.3045 5.0008
O -1.0042 5.9708 4.1495
O 2.5521 9.4646 3.8420
O -1.0501 20.4484 5.7280
O 0.9860 11.8993 4.9621
O 0.6560 3.5812 2.8380
O 2.3718 12.4289 2.6729
O -0.8162 0.3286 4.4469
O 1.1008 14.6162 5.6621
O 0.5550 0.8608 2.1496
O 2.8215 -2.2536 2.7802
O 2.6873 20.5879 4.7599
O 0.3333 -4.5806 0.7630
O 1.3108 20.0567 7.0542
O -1.3821 12.2883 3.6479
O 2.5783 17.8420 4.0523
O 0.4477 -1.8326 1.4616
O 1.2072 17.3098 6.3497
O -1.2731 15.0372 4.3434
O -0.1524 -9.2026 1.7227
O 1.2089 24.4472 7.0923
```

Computed properties:
The space-group type is Ima2 (46). The magnetic moment comes out at 3.00 μB/f.u.

***

[6]
This record from the Materials Project describes SrLa2CeMn2Cr2O12 after structural relaxation. The functional is PBE with a Hubbard U.

```
20
Lattice="-0.9823 -0.5767 -5.4016 -3.4619 -2.3338 3.6330 -3.3263 8.7565 2.2824" Properties=species:S:1:pos:R:3 pbc="T T T"
Sr -5.8076 2.9794 0.5679
La -2.4771 -0.1850 -2.4064
La -1.9647 2.8774 -0.0473
Ce -5.2835 6.0367 2.9334
Mn -3.8815 5.7163 -0.0690
Mn -4.3686 2.6423 -2.4342
Cr -3.8799 0.1351 0.6045
Cr -6.7801 6.4179 5.8993
O -3.2969 -0.9171 2.2245
O -3.4169 4.6219 1.6180
O -2.3427 2.1515 -2.6907
O -5.8116 5.4217 0.2625
O -3.9171 1.8321 1.6437
O -3.9294 7.4428 0.8695
O -1.9198 0.5230 0.2256
O -5.4559 3.7957 3.2207
O -3.7493 -1.6744 -0.3347
O -3.8024 4.0191 -1.0888
O -4.4326 1.1337 -1.0858
O -4.5814 6.7023 -1.8173
```

Computed properties:
The space-group type is P1 (1). The magnetic moment comes out at 14.00 μB/f.u.

***

Across the entries above, V takes the values 11.625; 14.645; 15.735; 15.723; 13.397; 12.229 A^3/atom, respectively.
Across the entries above, E takes the values -6.7243; -7.0364; -7.2086; -7.4053; -7.1162; -7.9183 eV/atom, respectively.
Across the entries above, formation enthalpy at 0 K takes the values -19.3; -24.5; -18.0; -38.8; -53.0; -59.4 eV/f.u., respectively.